Entry 1:
The following is a DFT calculation (GGA+U) of a relaxed structure of Li9Mn2Co5O16. Values from VASP.

Geometry as Quantum ESPRESSO input:
```
&SYSTEM
  ibrav = 0, nat = 32, ntyp = 4
/
ATOMIC_SPECIES
O 16.00 O.upf
Li 6.94 Li.upf
Co 58.93 Co.upf
Mn 54.94 Mn.upf
CELL_PARAMETERS angstrom
5.8921 0.0000 0.0000
0.3814 5.9169 0.0000
0.3022 2.8205 8.1335
ATOMIC_POSITIONS angstrom
O 0.4393 3.0107 6.2047
O 1.5690 4.3761 0.0167
O 6.0506 3.0222 1.9532
O 2.1027 7.2090 4.0669
O 6.2269 5.9864 1.9516
O 3.1427 2.9436 6.0197
O 4.5328 1.4957 4.0133
O 3.2401 2.8396 2.1555
O 1.8843 4.4322 8.0473
O 4.6652 4.4516 3.9456
O 3.2234 5.6296 5.9675
O 1.8349 4.2367 4.1875
O 3.4372 5.8143 2.0710
O 4.6923 1.5731 0.1013
O 4.7094 4.3412 0.0460
O 0.5234 5.7139 6.2148
Li 1.6251 1.4398 2.0959
Li 3.4138 5.8040 8.0732
Li 0.4839 5.8847 4.0866
Li 4.7827 4.3369 6.0398
Li 1.7910 4.3950 2.0764
Li 4.9604 7.2948 6.0387
Li 0.2860 2.8498 4.1432
Li 2.0310 7.2803 6.0464
Li 3.6035 8.7154 8.1007
Co 4.5537 1.4691 2.0706
Co 4.7125 4.4054 2.0290
Co 3.1511 2.8432 4.0966
Co 1.8581 4.3362 6.0963
Co 3.3514 5.8343 4.0532
Mn 0.3278 2.8397 8.1254
Mn 0.2213 2.9940 0.0013
```

Properties
distance to the lowest polymorph of the same formula	51	meV/atom
SG	No. 1
magnetic moment	0.44	μB per atom
formation energy	-1813.4	meV/atom
density	4.23	Mg/m³

***

Entry 2:
The following is a DFT calculation (GGA+U) of a relaxed structure of YVO3. Values from VASP.

Geometry as Quantum ESPRESSO input:
```
&SYSTEM
  ibrav = 0, nat = 10, ntyp = 3
/
ATOMIC_SPECIES
O 16.00 O.upf
V 50.94 V.upf
Y 88.91 Y.upf
CELL_PARAMETERS angstrom
-1.8497 2.9562 0.4219
-0.2249 -2.5681 2.3860
9.4575 5.0195 6.2939
ATOMIC_POSITIONS angstrom
O 7.3338 5.7014 6.8277
O 0.0491 -0.2938 2.2741
O 7.0931 3.7646 4.7204
O 3.1467 1.3502 4.3355
O 2.3644 1.2549 1.5735
O 4.2363 4.0574 4.7663
V 1.5979 0.5282 3.3048
V 5.7850 4.8794 5.7970
Y 4.7288 2.5098 3.1469
Y 0.0000 0.0000 0.0000
```

Properties
SG	No. 194
magnetic moment	0.39	μB per atom
formation energy	-3120.2	meV/atom
density	4.70	Mg/m³

***

Entry 3:
The following is a DFT calculation (GGA+U) of a relaxed structure of Ce2W4S3O14. Values from VASP.

Geometry as Quantum ESPRESSO input:
```
&SYSTEM
  ibrav = 0, nat = 46, ntyp = 4
/
ATOMIC_SPECIES
O 16.00 O.upf
W 183.84 W.upf
S 32.06 S.upf
Ce 140.12 Ce.upf
CELL_PARAMETERS angstrom
-5.5346 -6.3889 2.4136
-3.1934 -6.9221 -4.3776
9.4148 -8.9746 3.9502
ATOMIC_POSITIONS angstrom
O 3.3824 -12.8476 3.4897
O -0.6878 -10.2706 -2.5215
O 6.4332 -11.4932 2.9291
O 4.5602 -17.4971 0.3967
O -2.7391 -13.8318 0.3762
O -3.8734 -4.7885 1.5895
O -5.7464 -10.7924 -0.9429
O -1.4387 -7.9590 -2.9618
O -0.5190 -8.5438 -0.8233
O 1.6678 -11.3277 1.1357
O 3.4259 -8.4539 1.6100
O 2.1121 -18.3518 1.9341
O 2.1255 -14.3266 4.9481
O 3.9277 -15.4911 2.2417
O 2.3961 -9.6315 -0.9668
O -2.6956 -9.4380 -1.5035
O 0.5368 -8.9956 3.4577
O -1.4253 -3.9338 0.0521
O -3.2410 -6.7945 -0.2554
O -0.9220 -15.3064 0.6928
O -0.9810 -10.9580 0.8505
O 1.2058 -13.7418 2.8095
O -1.7093 -12.6541 2.9530
O 1.6088 -6.9792 1.2934
O 1.3745 -12.0150 4.5077
O 0.1500 -13.2900 -1.4715
O 6.8172 -13.8411 0.8702
O -6.1304 -8.4446 1.1160
W -4.2933 -12.3692 -0.3163
W 3.6459 -15.0823 0.1935
W 0.5323 -16.8834 1.3161
W 3.1257 -12.0043 -0.2275
W -2.4389 -10.2813 2.2137
W 4.9800 -9.9164 2.3025
W 0.1545 -5.4022 0.6701
W -2.9591 -7.2033 1.7927
S 2.0221 -13.2327 3.9387
S -1.3353 -9.0529 -1.9525
S -2.4116 -15.2928 0.3807
S -1.6161 -2.5039 -0.3490
S 2.3029 -19.7817 2.3352
S 3.0984 -6.9928 1.6056
Ce 5.4243 -13.9063 2.8716
Ce 0.6617 -9.4064 1.0566
Ce -4.7375 -8.3793 -0.8854
Ce 0.0251 -12.8792 0.9297
```

Properties
SG	No. 15
magnetic moment	0.78	μB per atom
formation energy	-1433.1	meV/atom
density	5.70	Mg/m³

***

Entry 4:
The following is a DFT calculation (GGA+U) of a relaxed structure of Li9Mn2Co5O16. Values from VASP.

Geometry as Quantum ESPRESSO input:
```
&SYSTEM
  ibrav = 0, nat = 32, ntyp = 4
/
ATOMIC_SPECIES
Co 58.93 Co.upf
Li 6.94 Li.upf
O 16.00 O.upf
Mn 54.94 Mn.upf
CELL_PARAMETERS angstrom
-0.8468 -3.8450 -3.3478
5.9012 4.2546 -2.5840
4.2065 -4.1215 5.0084
ATOMIC_POSITIONS angstrom
Co 6.9722 -2.1953 -2.0868
Co 2.1738 -1.4678 1.1971
Co 4.3967 -2.9696 2.2689
Co 6.8465 -3.3651 0.6756
Co 4.6390 -1.8277 -0.4896
Li 5.0941 -5.6347 1.1500
Li 4.8543 -0.7212 -3.1930
Li 4.1950 1.9318 -2.0795
Li 0.6700 -2.7365 -1.0391
Li 3.1748 -3.0116 -2.7112
Li 6.1686 -0.6696 1.7677
Li 8.5451 -1.0511 0.1746
Li 2.8697 -4.1630 0.0323
Li 6.3533 0.4693 -0.9849
O 2.7054 -2.1149 -0.8541
O 4.2858 -0.0025 -1.2417
O 4.7153 -4.7978 3.2120
O 6.5791 -1.6101 -0.1432
O 6.2204 2.4618 -1.8320
O 6.3216 -2.6750 2.6788
O 1.0528 -3.5164 -3.1310
O 6.8712 -0.3875 -2.9097
O 5.1777 -2.6267 -2.3307
O 8.2498 -0.2829 2.0991
O 4.9402 -3.6453 0.4118
O 2.5239 -3.3379 1.9668
O 3.0703 -6.2179 0.8549
O 4.5413 1.0799 -4.2014
O 2.8032 -0.9297 -3.3902
O 4.1275 -1.1590 1.4069
Mn 2.4364 -0.3421 -1.6024
Mn 9.2299 -3.7299 -0.9126
```

Properties
distance to the lowest polymorph of the same formula	26	meV/atom
SG	No. 1
magnetic moment	0.19	μB per atom
formation energy	-1838.5	meV/atom
density	4.17	Mg/m³

***

Entry 5:
The following is a DFT calculation (GGA+U) of a relaxed structure of FeCo5O12. Values from VASP.

Geometry as Quantum ESPRESSO input:
```
&SYSTEM
  ibrav = 0, nat = 18, ntyp = 3
/
ATOMIC_SPECIES
O 16.00 O.upf
Co 58.93 Co.upf
Fe 55.84 Fe.upf
CELL_PARAMETERS angstrom
4.3082 2.4811 0.0000
-4.3082 2.4811 0.0000
0.0000 0.0036 9.8689
ATOMIC_POSITIONS angstrom
O 1.4358 3.3096 4.0007
O 0.0000 1.7108 8.9059
O 0.0000 3.2550 0.9630
O 1.4824 4.1117 8.9059
O -1.4358 1.6562 5.8681
O -1.4824 4.1117 8.9059
O 0.0000 4.1374 5.8686
O -1.4358 3.3096 4.0007
O -1.4824 0.8541 0.9630
O 0.0000 0.8284 4.0003
O 1.4358 1.6562 5.8681
O 1.4824 0.8541 0.9630
Co -2.8720 2.4829 4.9344
Co 2.8720 2.4829 4.9344
Co 0.0000 2.4829 4.9344
Co 1.4359 2.4811 0.0000
Co -1.4359 2.4811 0.0000
Fe 0.0000 0.0000 0.0000
```

Properties
SG	No. 12
magnetic moment	0.50	μB per atom
formation energy	-1069.0	meV/atom
density	4.27	Mg/m³

***

Entry 6:
The following is a DFT calculation (GGA+U) of a relaxed structure of UCu4Mo2O16. Values from VASP.

Geometry as Quantum ESPRESSO input:
```
&SYSTEM
  ibrav = 0, nat = 23, ntyp = 4
/
ATOMIC_SPECIES
O 16.00 O.upf
Cu 63.55 Cu.upf
U 238.03 U.upf
Mo 95.94 Mo.upf
CELL_PARAMETERS angstrom
0.2991 -3.9581 -3.6015
5.6818 -0.9647 1.5322
-6.0405 -4.5787 7.9125
ATOMIC_POSITIONS angstrom
O -0.2972 -1.7921 -0.0261
O 0.1017 -3.5648 3.0467
O -1.0610 -5.5082 0.4662
O -3.0677 -5.4432 2.0127
O -2.0321 -4.3758 4.7806
O 0.2376 -7.7095 5.8693
O -4.2030 -4.7954 6.6756
O -0.1613 -5.9367 2.7964
O 1.9725 -5.1258 1.0626
O -2.6875 -7.0522 5.5258
O 1.0013 -3.9933 5.3770
O 3.0081 -4.0583 3.8305
O 1.2591 -4.2165 -1.6102
O 4.1433 -4.7062 -0.8324
O 2.6279 -2.4494 0.3173
O -1.3187 -5.2851 7.4533
Cu 1.3993 -4.9656 3.2889
Cu -1.4590 -4.5359 2.5543
Cu -3.0203 -2.2893 3.9562
Cu -0.1794 -2.7717 4.7223
U 0.0000 0.0000 0.0000
Mo -2.5780 -5.4233 6.1451
Mo 2.5183 -4.0782 -0.3020
```

Properties
SG	No. 12
magnetic moment	0.09	μB per atom
formation energy	-1591.8	meV/atom
density	4.74	Mg/m³

***

Entry 7:
The following is a DFT calculation (GGA+U) of a relaxed structure of Li9Mn2Co5O16. Values from VASP.

Geometry as Quantum ESPRESSO input:
```
&SYSTEM
  ibrav = 0, nat = 32, ntyp = 4
/
ATOMIC_SPECIES
Co 58.93 Co.upf
O 16.00 O.upf
Li 6.94 Li.upf
Mn 54.94 Mn.upf
CELL_PARAMETERS angstrom
-0.8606 2.7551 -0.4810
-8.2284 -0.2904 13.0591
4.7615 3.5376 2.8438
ATOMIC_POSITIONS angstrom
Co -1.5771 2.8452 10.2184
Co -6.2724 1.6777 11.9318
Co 1.9896 4.3334 3.4604
Co -4.3861 3.6338 10.8606
Co -2.8685 3.1247 5.2288
O -4.4242 2.3411 12.4249
O -5.6556 2.6374 7.4244
O -0.7386 3.8453 5.5458
O -3.4776 4.5412 14.4329
O 1.8752 3.0129 5.0020
O 1.1734 3.3085 7.9514
O 3.0065 2.9045 2.3570
O 0.0158 3.6459 3.0535
O -2.6151 1.9194 6.7721
O -7.2910 3.1087 13.0498
O -6.2621 2.9612 10.3642
O -2.5722 4.2847 11.3435
O -1.7210 4.0910 8.7106
O -3.4144 2.2035 9.8301
O -0.7853 1.4848 1.0092
O -1.6862 1.7475 4.1259
Li -0.7856 2.6179 7.5005
Li -5.2995 3.8359 13.6521
Li 1.0465 2.1768 1.6956
Li -1.8402 2.9607 2.4495
Li -2.4992 3.0383 12.9744
Li 1.0623 4.5503 6.3618
Li -3.4621 3.4157 7.9579
Li -5.5037 1.4238 9.1017
Li 0.1957 4.7570 9.0964
Mn 0.0728 2.3740 4.5671
Mn -0.8559 2.7578 -0.4740
```

Properties
distance to the lowest polymorph of the same formula	85	meV/atom
SG	No. 8
magnetic moment	0.72	μB per atom
formation energy	-1779.5	meV/atom
density	4.15	Mg/m³

***

Entry 8:
The following is a DFT calculation (GGA+U) of a relaxed structure of Li4Ti2Nb3Cr3O16. Values from VASP.

Geometry as Quantum ESPRESSO input:
```
&SYSTEM
  ibrav = 0, nat = 28, ntyp = 5
/
ATOMIC_SPECIES
O 16.00 O.upf
Li 6.94 Li.upf
Ti 47.87 Ti.upf
Nb 92.91 Nb.upf
Cr 52.00 Cr.upf
CELL_PARAMETERS angstrom
-5.7169 -1.9695 0.2990
-1.7769 -3.6065 4.5263
-2.4694 7.7914 5.3188
ATOMIC_POSITIONS angstrom
O -3.1735 4.7377 6.6608
O -7.2541 -1.1105 4.4550
O -4.7671 -0.2633 4.3412
O -6.7963 1.8150 4.9359
O -4.8987 5.4545 4.8097
O -5.7520 4.0087 6.9134
O -7.6908 -0.0283 7.1571
O -4.8559 1.0087 7.0178
O -1.5112 -0.1845 1.3371
O -5.2831 -2.9074 3.7981
O -2.3575 -1.9549 3.6091
O -2.0086 6.2886 4.3073
O -4.3603 -1.1228 1.4603
O -5.5218 -1.8303 6.3137
O -0.7925 2.4079 1.6710
O -3.8346 2.7916 4.6550
Li -1.2699 3.8249 2.6647
Li -2.5252 7.6784 5.3270
Li -7.2348 3.3258 8.0310
Li -3.4567 1.1457 3.6654
Ti -6.1732 0.1100 5.7962
Ti -4.9271 5.9268 6.8873
Nb -5.7370 3.6292 4.8292
Nb -3.9610 2.8913 6.7347
Nb -6.7760 -2.9432 5.1757
Cr -2.9961 4.6166 4.5803
Cr -5.8829 -1.1971 2.9345
Cr -3.9576 -1.9970 5.0002
```

Properties
SG	No. 8
magnetic moment	0.39	μB per atom
formation energy	-2708.5	meV/atom
density	4.39	Mg/m³

***

Entry 9:
The following is a DFT calculation (GGA+U) of a relaxed structure of MnP2H9C2NO7. Values from VASP.

Geometry as Quantum ESPRESSO input:
```
&SYSTEM
  ibrav = 0, nat = 44, ntyp = 6
/
ATOMIC_SPECIES
H 1.01 H.upf
O 16.00 O.upf
P 30.97 P.upf
C 12.01 C.upf
Mn 54.94 Mn.upf
N 14.01 N.upf
CELL_PARAMETERS angstrom
0.5838 5.4396 -1.4312
4.9765 -1.5669 2.1812
3.1711 -4.2045 -12.0110
ATOMIC_POSITIONS angstrom
H 2.3358 0.1479 -7.2998
H 3.0297 2.3354 -7.4206
H 4.9764 -2.5986 -6.3070
H 2.5499 -1.3601 -8.9672
H 1.6095 -1.0355 -5.4462
H 3.7721 -4.0582 -10.9772
H 3.5793 -0.1213 -9.1818
H 1.5264 2.4777 -1.8349
H 3.7841 -0.8747 -1.7039
H 2.6000 -0.7002 0.2268
H 2.7388 2.6096 -5.6909
H 6.1758 -0.4706 -4.3662
H 4.9058 -2.6795 -10.9012
H 6.1806 -0.0515 -11.6717
H 3.2185 -0.4148 -4.9795
H 2.2225 -1.2647 -1.9270
H 7.2168 -4.1062 -9.3177
H 4.6656 -0.7005 1.2340
O 2.2941 1.4248 -2.8868
O 5.2822 0.2092 -6.6774
O 4.9913 -2.6499 -5.2903
O 0.8413 -0.6876 -2.9548
O 7.2684 -1.4126 -10.0953
O 4.9944 -2.4556 -7.9755
O 2.6161 -0.3646 -8.9691
O 5.1436 -0.1707 -2.1264
O 1.0992 3.1314 -1.1817
O 2.6600 -3.1616 -8.7686
O 3.9539 1.9012 -0.4604
O 5.1049 1.6114 -4.5650
O 3.0106 -1.4205 -1.3353
O 4.9913 0.4989 -9.5610
P 1.3256 0.5626 -3.7204
P 4.8678 1.5247 -6.0563
P 4.1580 -3.5286 -8.7004
P 4.4881 1.7035 0.9408
C 2.1818 -0.1353 -5.1993
C 7.1381 -4.1416 -10.4098
C 3.0962 1.8786 -6.4243
C 4.6573 -3.6572 -10.4729
Mn 4.4700 1.9220 -2.5283
Mn 6.3754 -0.6904 -8.2708
N 2.1591 0.7193 -6.4245
N 5.7688 -4.6116 -10.7653
```

Properties
SG	No. 9
magnetic moment	0.23	μB per atom
formation energy	-1300.3	meV/atom
density	2.28	Mg/m³

***

Entry 10:
The following is a DFT calculation (GGA+U) of a relaxed structure of Li5Mn3O8. Values from VASP.

Geometry as Quantum ESPRESSO input:
```
&SYSTEM
  ibrav = 0, nat = 16, ntyp = 3
/
ATOMIC_SPECIES
O 16.00 O.upf
Mn 54.94 Mn.upf
Li 6.94 Li.upf
CELL_PARAMETERS angstrom
2.8754 5.1292 0.0000
-2.8754 5.1292 0.0000
0.0000 1.8724 4.8143
ATOMIC_POSITIONS angstrom
O 1.4934 4.5131 1.2406
O 0.0000 6.8402 1.3545
O 0.0000 1.7410 1.3341
O -1.4934 4.5131 1.2406
O 0.0000 10.3897 3.4802
O 1.4934 7.6177 3.5737
O 0.0000 5.2906 3.4599
O -1.4934 7.6177 3.5737
Mn 0.0000 0.0000 0.0000
Mn 1.4208 6.0654 2.4072
Mn -1.4208 6.0654 2.4072
Li 0.0000 5.1292 0.0000
Li 1.4377 2.5646 0.0000
Li -1.4377 2.5646 0.0000
Li 0.0000 3.5154 2.3715
Li 0.0000 8.6154 2.4428
```

Properties
distance to the lowest polymorph of the same formula	11	meV/atom
SG	No. 12
magnetic moment	0.62	μB per atom
formation energy	-2138.7	meV/atom
density	3.83	Mg/m³

***

Entry 11:
The following is a DFT calculation (GGA+U) of a relaxed structure of SrMn2Si2H4O10. Values from VASP.

Geometry as Quantum ESPRESSO input:
```
&SYSTEM
  ibrav = 0, nat = 38, ntyp = 5
/
ATOMIC_SPECIES
H 1.01 H.upf
Mn 54.94 Mn.upf
Si 28.09 Si.upf
Sr 87.62 Sr.upf
O 16.00 O.upf
CELL_PARAMETERS angstrom
4.9548 -1.7477 2.0567
-4.1707 -3.1710 1.7979
1.5768 -8.1578 -10.7309
ATOMIC_POSITIONS angstrom
H 1.4088 -6.0319 -2.7891
H 0.9521 -7.0447 -4.0873
H 0.8042 -2.9040 1.3254
H 0.1482 -8.2907 -5.5080
H 2.0215 -3.7966 -0.0670
H 2.2127 -4.7859 -1.3684
H 1.5567 -10.1726 -8.2017
H 0.3394 -9.2800 -6.8093
Mn -1.2970 -5.6644 -4.4665
Mn 2.4774 -0.8739 1.0283
Mn 3.2658 -4.9528 -4.3371
Mn -2.0854 -1.5855 0.8989
Si 5.2874 -4.7748 -1.9120
Si -2.9265 -8.3017 -4.9644
Si 4.9149 -2.8473 0.6234
Si -2.5540 -10.2292 -7.4998
Sr 3.3010 -8.2762 -6.0965
Sr -0.9401 -4.8004 -0.7799
O 2.7185 -8.6880 -3.5397
O -0.0192 -7.1792 -4.0629
O 5.9759 -7.9476 -5.9532
O 0.7713 -8.8563 -6.0272
O -0.3027 -4.9139 1.7723
O 2.2277 -5.9078 -5.6826
O 3.1464 -10.9021 -6.4522
O -0.3576 -4.3886 -3.3366
O -2.3098 -6.4312 -2.7024
O 1.7636 -2.7078 1.3820
O 5.2147 -9.4600 -7.8763
O 4.6707 -6.6454 -4.1740
O 0.1332 -7.1688 -1.1938
O 2.6635 -8.1626 -8.6486
O -3.6150 -5.1290 -0.9231
O -2.8538 -3.6166 1.0000
O -0.7855 -2.1745 -0.4242
O 1.5896 -4.2202 -0.8492
O 2.3801 -5.8973 -2.8135
O 0.5973 -10.3687 -8.2584
```

Properties
SG	No. 11
magnetic moment	0.42	μB per atom
formation energy	-2338.6	meV/atom
density	3.51	Mg/m³

***

Number 1: VASP energy -5.80 eV per atom. Number 2: VASP energy -8.45 eV per atom. Number 3: VASP energy -6.56 eV per atom. Number 4: VASP energy -5.83 eV per atom. Number 5: VASP energy -5.77 eV per atom. Number 6: VASP energy -6.42 eV per atom. Number 7: VASP energy -5.77 eV per atom. Number 8: VASP energy -7.88 eV per atom. Number 9: VASP energy -6.09 eV per atom. Number 10: VASP energy -6.27 eV per atom. Number 11: VASP energy -6.74 eV per atom.